A plane-wave DFT calculation with PBE with a Hubbard U was carried out for a geometry-optimized Fe3OF5 structure.

The value obtained for the calculated volume is 225 Å³ per cell. For the energy of formation from the pure elements, the calculation gives -21.24 eV per formula unit.

The structure belongs to space group P-1 (No. 2); the cell edges are 5.777, 5.831 and 7.625 Å and the angles 72.49°, 71.34° and 71.67°. The distinct sites, in fractional coordinates, are Fe at (0.000, 0.000, 0.000), Fe at (0.000, 0.000, 0.500), Fe at (0.329, 0.310, 0.179), Fe at (0.359, 0.308, 0.666), O at (0.356, 0.991, 0.322), F at (0.040, 0.609, 0.680), F at (0.095, 0.099, 0.707), F at (0.226, 0.244, 0.974), F at (0.314, 0.687, 0.000) and F at (0.422, 0.438, 0.359).